Record 1
The following is a r²SCAN calculation of an optimized crystal structure of MnSb2Se4, from Materials Project.

Cell lengths 13.3080, 3.9780, 15.8865 Å; angles 90.00, 114.68, 90.00 degrees
Space group C2/m (No. 12)
Unique sites:
Mn: 0.0000 0.0000 0.0000 [2 per cell]
Mn: 0.0000 0.0000 0.5000 [2 per cell]
Sb: 0.1423 0.5000 0.3721 [4 per cell]
Sb: 0.2336 0.0000 0.8771 [4 per cell]
Se: 0.0111 0.0000 0.6701 [4 per cell]
Se: 0.1081 0.5000 0.9542 [4 per cell]
Se: 0.1566 0.5000 0.5411 [4 per cell]
Se: 0.1635 0.0000 0.1737 [4 per cell]

Computed properties:
* ρ: 5.339 g/cm3
* VASP energy: -18.116 eV per atom
* total moment: 5.00 μB/f.u.
* DFT formation energy: -495 meV per atom

---

Record 2
The following is a r²SCAN calculation of an optimized crystal structure of Pr5Ge3, from Materials Project.

Cell lengths 8.8998, 8.8998, 6.8271 Å; angles 90.00, 90.00, 120.00 degrees
Space group P6_3/mcm (No. 193)
Unique sites:
Pr: 0.0000 0.2473 0.2500 [6 per cell]
Pr: 0.3333 0.6667 0.0000 [4 per cell]
Ge: 0.0000 0.3922 0.7500 [6 per cell]

Computed properties:
* ρ: 6.542 g/cm3
* VASP energy: -24.370 eV per atom
* total moment: 0.97 μB/f.u.
* DFT formation energy: -790 meV per atom

---

Record 3
The following is a r²SCAN calculation of an optimized crystal structure of TbRh3C, from Materials Project.

Cell lengths 4.1554, 4.1554, 4.1554 Å; angles 90.00, 90.00, 90.00 degrees
Space group Pm-3m (No. 221)
Unique sites:
Tb: 0.0000 0.0000 0.0000 [1 per cell]
Rh: 0.0000 0.5000 0.5000 [3 per cell]
C: 0.5000 0.5000 0.5000 [1 per cell]

Computed properties:
* ρ: 11.101 g/cm3
* VASP energy: -23.281 eV per atom
* total moment: 0.00 μB/f.u.
* DFT formation energy: -564 meV per atom

---

Record 4
The following is a r²SCAN calculation of an optimized crystal structure of Sr2P2O7, from Materials Project.

Cell lengths 8.9169, 5.3961, 13.1781 Å; angles 90.00, 90.00, 90.00 degrees
Space group Pnma (No. 62)
Unique sites:
Sr: 0.1250 0.2500 0.0868 [4 per cell]
Sr: 0.1721 0.2500 0.7602 [4 per cell]
P: 0.0326 0.2500 0.3174 [4 per cell]
P: 0.2235 0.7500 0.9645 [4 per cell]
O: 0.0838 0.0174 0.2623 [8 per cell]
O: 0.1054 0.2500 0.4292 [4 per cell]
O: 0.1345 0.7500 0.6666 [4 per cell]
O: 0.1462 0.5186 0.9234 [8 per cell]
O: 0.2257 0.7500 0.0792 [4 per cell]

Computed properties:
* ρ: 3.658 g/cm3
* VASP energy: -11.232 eV per atom
* total moment: 0.00 μB/f.u.
* DFT formation energy: -3041 meV per atom

---

Record 5
The following is a r²SCAN calculation of an optimized crystal structure of ScNbTc2, from Materials Project.

Cell lengths 6.4024, 6.4024, 6.4024 Å; angles 90.00, 90.00, 90.00 degrees
Space group Fm-3m (No. 225)
Unique sites:
Sc: 0.0000 0.0000 0.0000 [4 per cell]
Nb: 0.0000 0.0000 0.5000 [4 per cell]
Tc: 0.2500 0.2500 0.2500 [8 per cell]

Computed properties:
* ρ: 8.450 g/cm3
* VASP energy: -22.276 eV per atom
* total moment: 0.00 μB/f.u.
* DFT formation energy: -261 meV per atom

---

Record 6
The following is a r²SCAN calculation of an optimized crystal structure of NbSnRu2, from Materials Project.

Cell lengths 6.3788, 6.3788, 6.3788 Å; angles 90.00, 90.00, 90.00 degrees
Space group Fm-3m (No. 225)
Unique sites:
Nb: 0.0000 0.0000 0.0000 [4 per cell]
Sn: 0.0000 0.0000 0.5000 [4 per cell]
Ru: 0.2500 0.2500 0.2500 [8 per cell]

Computed properties:
* ρ: 10.589 g/cm3
* VASP energy: -25.343 eV per atom
* total moment: 0.85 μB/f.u.
* DFT formation energy: -261 meV per atom

---

Record 7
The following is a r²SCAN calculation of an optimized crystal structure of Na4CaP6O18, from Materials Project.

Cell lengths 13.0825, 7.9588, 14.1362 Å; angles 90.00, 95.00, 90.00 degrees
Space group C2/c (No. 15)
Unique sites:
Na: 0.1637 0.1266 0.4553 [8 per cell]
Na: 0.1672 0.3746 0.9162 [8 per cell]
Ca: 0.0000 0.1213 0.7500 [4 per cell]
P: 0.0865 0.1898 0.1087 [8 per cell]
P: 0.0922 0.4477 0.6133 [8 per cell]
P: 0.2274 0.3606 0.2481 [8 per cell]
O: 0.0015 0.0724 0.1245 [8 per cell]
O: 0.0112 0.3247 0.6319 [8 per cell]
O: 0.0360 0.3735 0.0969 [8 per cell]
O: 0.1537 0.2088 0.2092 [8 per cell]
O: 0.1548 0.1570 0.0325 [8 per cell]
O: 0.1587 0.4799 0.7125 [8 per cell]
O: 0.1597 0.4175 0.5361 [8 per cell]
O: 0.1773 0.1426 0.8028 [8 per cell]
O: 0.2332 0.3602 0.3528 [8 per cell]

Computed properties:
* ρ: 2.745 g/cm3
* VASP energy: -8.836 eV per atom
* total moment: 0.00 μB/f.u.
* DFT formation energy: -2532 meV per atom

---

Record 8
The following is a r²SCAN calculation of an optimized crystal structure of Ti2MoOs, from Materials Project.

Cell lengths 6.2269, 6.2269, 6.2269 Å; angles 90.00, 90.00, 90.00 degrees
Space group Fm-3m (No. 225)
Unique sites:
Ti: 0.2500 0.2500 0.2500 [8 per cell]
Mo: 0.0000 0.0000 0.0000 [4 per cell]
Os: 0.0000 0.0000 0.5000 [4 per cell]

Computed properties:
* ρ: 10.506 g/cm3
* VASP energy: -26.680 eV per atom
* total moment: 0.00 μB/f.u.
* DFT formation energy: -446 meV per atom

---

Record 9
The following is a r²SCAN calculation of an optimized crystal structure of LiAsSe2, from Materials Project.

Cell lengths 12.4688, 5.5713, 5.6274 Å; angles 90.00, 112.85, 90.00 degrees
Space group Cc (No. 9)
Unique sites:
Li: 0.0000 0.2367 0.0000 [4 per cell]
As: 0.2165 0.2810 0.6678 [4 per cell]
Se: 0.0144 0.2620 0.5160 [4 per cell]
Se: 0.2580 0.2837 0.2713 [4 per cell]

Computed properties:
* ρ: 4.421 g/cm3
* VASP energy: -12.074 eV per atom
* total moment: 0.00 μB/f.u.
* DFT formation energy: -645 meV per atom

---

Record 10
The following is a r²SCAN calculation of an optimized crystal structure of Rb2TeBr6, from Materials Project.

Cell lengths 10.8517, 10.8517, 10.8517 Å; angles 90.00, 90.00, 90.00 degrees
Space group Fm-3m (No. 225)
Unique sites:
Rb: 0.2500 0.2500 0.2500 [8 per cell]
Te: 0.0000 0.0000 0.0000 [4 per cell]
Br: 0.0000 0.0000 0.2500 [24 per cell]

Computed properties:
* ρ: 4.044 g/cm3
* VASP energy: -15.948 eV per atom
* total moment: 0.00 μB/f.u.
* DFT formation energy: -1189 meV per atom

---

Record 11
The following is a r²SCAN calculation of an optimized crystal structure of SnSe, from Materials Project.

Cell lengths 6.0209, 6.0209, 6.0209 Å; angles 90.00, 90.00, 90.00 degrees
Space group Fm-3m (No. 225)
Unique sites:
Sn: 0.0000 0.0000 0.0000 [4 per cell]
Se: 0.0000 0.0000 0.5000 [4 per cell]

Computed properties:
* ρ: 6.016 g/cm3
* VASP energy: -19.941 eV per atom
* total moment: 0.00 μB/f.u.
* DFT formation energy: -412 meV per atom

---

Record 12
The following is a r²SCAN calculation of an optimized crystal structure of Li3Ca, from Materials Project.

Cell lengths 4.6649, 4.6649, 9.7810 Å; angles 90.00, 90.00, 90.00 degrees
Space group I4/mmm (No. 139)
Unique sites:
Li: 0.0000 0.0000 0.0000 [2 per cell]
Li: 0.0000 0.5000 0.2500 [4 per cell]
Ca: 0.0000 0.0000 0.5000 [2 per cell]

Computed properties:
* ρ: 0.950 g/cm3
* VASP energy: -3.504 eV per atom
* total moment: 0.00 μB/f.u.
* DFT formation energy: 46 meV per atom